Entry 1:
! CeInRh, relaxed, DFT meta-GGA r2SCAN; values from VASP
! E_form in meV/atom: -791
! Crystal system: hexagonal
! Size of the total moment in μB per cell: 2.62
&SYSTEM
  ibrav = 0, nat = 9, ntyp = 3
/
ATOMIC_SPECIES
Ce 140.12 Ce.upf
In 114.82 In.upf
Rh 102.91 Rh.upf
CELL_PARAMETERS angstrom
7.5836 0.0000 0.0000
-3.7918 6.5676 0.0000
0.0000 0.0000 4.0297
ATOMIC_POSITIONS crystal
Ce 0.0004 0.4124 0.0000
Ce 0.4120 0.9996 0.0000
Ce 0.5876 0.5880 0.0000
In 0.9997 0.7510 0.5000
In 0.2490 0.2487 0.5000
In 0.7513 0.0003 0.5000
Rh 0.0000 0.0000 0.0000
Rh 0.3333 0.6667 0.5000
Rh 0.6667 0.3333 0.5000

Entry 2:
! Ba4Ga2S7, relaxed, DFT meta-GGA r2SCAN; values from VASP
! E_form in meV/atom: -1829
! Crystal system: monoclinic
! Size of the total moment in μB per cell: 0.00
&SYSTEM
  ibrav = 0, nat = 26, ntyp = 3
/
ATOMIC_SPECIES
Ba 137.33 Ba.upf
Ga 69.72 Ga.upf
S 32.06 S.upf
CELL_PARAMETERS angstrom
9.0984 0.0000 0.0000
0.0000 7.1835 0.0000
-3.8746 0.0000 11.2912
ATOMIC_POSITIONS crystal
Ba 0.0092 0.2500 0.3871
Ba 0.0769 0.2500 0.9332
Ba 0.3702 0.7500 0.3914
Ba 0.4687 0.7500 0.8181
Ba 0.5313 0.2500 0.1819
Ba 0.6298 0.2500 0.6086
Ba 0.9231 0.7500 0.0668
Ba 0.9908 0.7500 0.6129
Ga 0.2677 0.2500 0.6877
Ga 0.3127 0.7500 0.0808
Ga 0.6873 0.2500 0.9192
Ga 0.7323 0.7500 0.3123
S 0.0105 0.2500 0.6577
S 0.1643 0.7500 0.8886
S 0.2419 0.0022 0.1655
S 0.2419 0.4978 0.1655
S 0.3139 0.0005 0.5889
S 0.3139 0.4995 0.5889
S 0.4181 0.2500 0.8878
S 0.5819 0.7500 0.1122
S 0.6861 0.9995 0.4111
S 0.6861 0.5005 0.4111
S 0.7581 0.5022 0.8345
S 0.7581 0.9978 0.8345
S 0.8357 0.2500 0.1114
S 0.9895 0.7500 0.3423

Entry 3:
! YbSnAu2, relaxed, DFT meta-GGA r2SCAN; values from VASP
! E_form in meV/atom: -691
! Crystal system: cubic
! Size of the total moment in μB per cell: 0.00
&SYSTEM
  ibrav = 0, nat = 4, ntyp = 3
/
ATOMIC_SPECIES
Yb 173.04 Yb.upf
Sn 118.71 Sn.upf
Au 196.97 Au.upf
CELL_PARAMETERS angstrom
0.0000 3.4577 3.4577
3.4577 0.0000 3.4577
3.4577 3.4577 0.0000
ATOMIC_POSITIONS crystal
Yb 0.0000 0.0000 0.0000
Sn 0.5000 0.5000 0.5000
Au 0.2500 0.2500 0.2500
Au 0.7500 0.7500 0.7500